Record 1
Below is an optimized crystal structure of MgNp3, with properties calculated at the GGA-PBE level. Values from VASP.

E	-9.425	eV per atom
crystal system	cubic
ΔH_f (0 K)	686	meV per atom
energy relative to the lowest polymorph listed for this composition	18	meV per atom

```
&SYSTEM
  ibrav = 0, nat = 4, ntyp = 2
/
ATOMIC_SPECIES
Np 237.00 Np.upf
Mg 24.30 Mg.upf
ATOMIC_POSITIONS angstrom
Np -0.030 -2.777 1.676
Np 1.242 -2.696 -1.306
Np -1.964 -2.418 -0.903
Mg 0.000 0.000 0.000
CELL_PARAMETERS angstrom
-3.236 -2.498 2.079
-0.691 -2.338 -3.885
3.176 -3.055 1.273
```

=====

Record 2
Below is an optimized crystal structure of NaScTaP3O12, with properties calculated at the GGA-PBE level. Values from VASP.

E	-7.901	eV per atom
ΔH_f (0 K)	-3074	meV per atom

```
&SYSTEM
  ibrav = 0, nat = 108, ntyp = 5
/
ATOMIC_SPECIES
O 16.00 O.upf
P 30.97 P.upf
Ta 180.95 Ta.upf
Na 22.99 Na.upf
Sc 44.96 Sc.upf
ATOMIC_POSITIONS angstrom
O 2.954 -22.112 -6.163
O -3.132 -7.351 -5.921
O -4.931 -12.607 -2.090
O 4.229 -9.099 -6.184
O 3.065 -17.190 -5.092
O 2.542 -20.668 -1.226
O -4.054 -21.625 -2.436
O -2.406 -14.873 -0.754
O -7.010 -2.728 -0.129
O -4.767 -3.608 -0.885
O 2.321 -19.661 -6.357
O 1.083 -5.868 -3.540
O -5.138 -3.678 -3.806
O -1.387 -16.178 -7.145
O -5.418 -18.961 0.098
O -2.628 -13.887 -5.938
O 4.558 -20.563 -7.229
O 0.107 -19.838 -4.572
O -2.433 -3.420 -2.671
O -1.069 -6.083 -5.206
O 3.092 -4.296 -7.341
O 0.140 -9.406 -1.357
O -2.084 -14.881 -3.682
O -1.539 -21.411 -3.476
O -1.058 -7.090 -0.097
O -2.716 -12.430 -3.876
O -0.809 -1.868 -3.702
O 0.626 -18.432 -1.121
O -2.952 -5.855 -1.094
O -0.480 -13.332 -4.747
O -0.793 -2.181 -1.204
O -0.303 -8.383 -3.665
O 0.995 -4.411 -1.478
O -4.823 -2.606 -6.071
O -0.342 -13.606 -0.038
O -1.902 -21.410 -0.770
O -1.249 -17.195 -2.153
O 2.752 -19.586 -3.541
O -3.441 -18.857 -5.765
O -4.505 -10.200 -3.602
O -3.222 -5.915 -3.912
O -6.576 -14.180 -0.995
O -1.975 -9.672 -7.320
O -7.121 -7.651 -1.200
O 1.737 -1.654 -4.922
O -1.972 -9.959 -2.610
O -0.100 -10.909 -6.288
O 1.815 -13.146 -6.393
O 0.941 -17.360 -3.385
O 0.270 -10.839 -3.367
O 0.080 -8.384 -6.489
O 2.324 -8.160 -4.747
O -3.571 -17.425 -3.755
O -0.586 -1.884 -6.524
O 2.085 -13.086 -3.576
O -4.770 -15.109 -2.495
O -3.794 -17.409 -0.933
O 0.807 -15.907 -1.322
O -3.012 -4.833 -6.227
O -2.286 -12.355 -1.059
O 4.735 -15.614 -6.147
O -5.518 -6.101 -2.266
O -2.713 -0.929 -2.265
O -5.341 -1.152 -1.184
O 2.605 -10.651 -5.152
O -1.626 -21.104 -5.974
O 0.533 -17.431 -6.083
O 2.632 -22.104 -3.235
O -4.096 -10.129 -0.903
O 0.268 -22.339 -4.976
O 1.447 -5.870 -6.246
O -4.957 -1.153 -4.008
P -6.981 -6.414 -2.054
P 3.119 -20.818 -2.614
P -2.017 -5.939 0.089
P -4.138 -17.677 -5.132
P -1.943 -13.645 -4.535
P 3.346 -9.347 -4.983
P -1.919 -13.587 -0.133
P -4.676 -17.657 0.268
P -0.476 -9.719 -7.137
P 3.095 -20.876 -7.017
P -1.691 -2.116 -2.501
P -0.427 -9.659 -2.734
P -2.645 -6.064 -5.300
P 0.250 -17.241 -1.969
P -5.514 -2.488 -4.655
P -5.729 -13.958 -2.309
P -0.691 -21.189 -4.790
P -5.464 -2.428 -0.253
Ta 0.300 -3.329 0.042
Ta 1.626 -18.578 -4.837
Ta -2.385 -22.733 -2.212
Ta 1.326 -14.715 0.186
Ta -3.412 -11.347 -2.356
Ta 0.600 -7.192 -4.981
Na 2.046 -22.702 0.287
Na -2.692 -19.334 -2.255
Na 0.293 -3.793 -5.024
Na -3.718 -7.948 -2.399
Na 1.320 -15.179 -4.880
Na 1.020 -11.316 0.143
Sc 1.751 -19.424 0.246
Sc -2.987 -16.057 -2.296
Sc 0.725 -8.038 0.102
Sc -4.013 -4.671 -2.440
Sc -0.002 -0.516 -5.066
Sc 1.024 -11.902 -4.922
CELL_PARAMETERS angstrom
-8.749 -0.788 0.084
4.311 0.292 -7.649
2.052 -22.772 0.288
```

=====

Record 3
Below is an optimized crystal structure of Ca3SiO5, with properties calculated at the GGA-PBE level. Values from VASP.

E	-7.014	eV per atom
crystal system	monoclinic
ΔH_f (0 K)	-3375	meV per atom
energy relative to the lowest polymorph listed for this composition	43	meV per atom

```
&SYSTEM
  ibrav = 0, nat = 27, ntyp = 3
/
ATOMIC_SPECIES
Ca 40.08 Ca.upf
O 16.00 O.upf
Si 28.09 Si.upf
ATOMIC_POSITIONS angstrom
Ca -1.865 3.344 0.121
Ca -1.785 8.825 5.458
Ca 1.865 3.344 0.121
Ca 0.000 9.786 2.935
Ca 0.000 6.141 5.896
Ca 1.785 8.825 5.458
Ca 1.686 7.027 2.458
Ca -1.686 7.027 2.458
Ca 0.000 10.552 7.958
O 0.000 7.753 4.194
O 1.343 12.733 6.222
O 0.000 4.243 4.580
O 2.249 11.100 8.345
O -1.343 12.733 6.222
O -2.221 9.310 2.548
O 2.221 9.310 2.548
O 0.000 15.102 7.264
O 0.000 5.414 2.028
O 0.000 8.321 1.116
O 0.000 13.127 3.981
O -2.249 11.100 8.345
O 0.000 10.617 5.238
O 0.000 11.536 1.543
O 0.000 8.297 7.273
Si 0.000 12.280 5.383
Si 0.000 12.276 0.076
Si 0.000 4.028 2.932
CELL_PARAMETERS angstrom
3.577 6.127 0.000
-3.577 6.127 0.000
0.000 4.001 8.349
```

=====

Record 4
Below is an optimized crystal structure of ZrP2S7, with properties calculated at the GGA-PBE level. Values from VASP.

E	-5.450	eV per atom
crystal system	orthorhombic
ΔH_f (0 K)	-969	meV per atom

```
&SYSTEM
  ibrav = 0, nat = 40, ntyp = 3
/
ATOMIC_SPECIES
S 32.06 S.upf
P 30.97 P.upf
Zr 91.22 Zr.upf
ATOMIC_POSITIONS angstrom
S 2.463 8.089 10.752
S 1.352 6.175 16.746
S 6.856 7.898 22.696
S 3.638 5.209 9.181
S 5.504 9.969 9.181
S 6.679 8.089 19.510
S 0.502 5.717 9.770
S 7.790 6.175 13.516
S 4.748 10.884 18.318
S 4.748 4.294 11.944
S 2.788 1.922 12.926
S 6.679 7.089 10.752
S 5.504 5.209 21.081
S 7.790 9.004 16.746
S 4.394 10.884 11.944
S 1.352 9.004 13.516
S 2.788 5.667 2.205
S 2.463 7.089 19.510
S 0.502 1.872 5.361
S 3.638 9.969 21.081
S 4.069 1.872 9.770
S 6.856 14.870 22.696
S 4.571 11.075 15.131
S 4.069 5.717 5.361
S 1.783 5.667 12.926
S 4.394 4.294 18.318
S 4.571 4.103 15.131
S 1.783 1.922 2.205
P 4.594 12.291 13.383
P 4.548 2.887 13.383
P 2.309 6.682 5.818
P 4.548 12.291 16.878
P 4.594 2.887 16.878
P 2.309 0.907 9.313
P 2.262 0.907 5.818
P 2.262 6.682 9.313
Zr 2.285 3.795 10.949
Zr 4.571 7.589 3.384
Zr 4.571 7.589 26.878
Zr 2.285 3.795 4.182
CELL_PARAMETERS angstrom
0.000 7.589 15.131
4.571 0.000 15.131
4.571 7.589 0.000
```

=====

- Which of these has the highest E?
  ZrP2S7

=====

- ΔH_f (0 K) of number 1 (MgNp3)?
  686 meV per atom